{"formula": "Mg5Mn4", "functional": "GGA-PBE", "state": "relaxed", "cell": [[0.000, 0.000, 2.864], [9.868, 0.000, 0.000], [0.000, 23.335, 0.000]], "species": ["Mg", "Mg", "Mg", "Mg", "Mg", "Mg", "Mg", "Mg", "Mg", "Mg", "Mg", "Mg", "Mg", "Mg", "Mg", "Mg", "Mg", "Mg", "Mg", "Mg", "Mn", "Mn", "Mn", "Mn", "Mn", "Mn", "Mn", "Mn", "Mn", "Mn", "Mn", "Mn", "Mn", "Mn", "Mn", "Mn"], "fractional_positions": [[0.500, 0.394, 0.368], [0.500, 0.606, 0.632], [0.500, 0.106, 0.868], [0.500, 0.894, 0.132], [0.000, 0.375, 0.246], [0.000, 0.625, 0.754], [0.000, 0.125, 0.746], [0.000, 0.875, 0.254], [0.000, 0.115, 0.400], [0.000, 0.885, 0.600], [0.000, 0.385, 0.900], [0.000, 0.615, 0.100], [0.500, 0.232, 0.001], [0.500, 0.768, 0.999], [0.500, 0.268, 0.501], [0.500, 0.732, 0.499], [0.500, 0.343, 0.127], [0.500, 0.657, 0.873], [0.500, 0.157, 0.627], [0.500, 0.843, 0.373], [0.500, 0.000, 0.500], [0.500, 0.500, 0.000], [0.000, 0.120, 0.197], [0.000, 0.880, 0.803], [0.000, 0.380, 0.697], [0.000, 0.620, 0.303], [0.000, 0.384, 0.589], [0.000, 0.616, 0.411], [0.000, 0.116, 0.089], [0.000, 0.884, 0.911], [0.500, 0.127, 0.292], [0.500, 0.873, 0.708], [0.500, 0.373, 0.792], [0.500, 0.627, 0.208], [0.000, 0.000, 0.000], [0.000, 0.500, 0.500]], "delta_e_f_mev_per_atom": 387, "rho_g_cm3": 3.44}

***

{"formula": "Nb3Te4ClO15", "functional": "GGA-PBE", "state": "relaxed", "cell": [[-5.998, -0.165, -5.247], [-9.334, -0.463, 4.639], [-3.801, 19.143, -2.306]], "species": ["Nb", "Nb", "Nb", "Nb", "Nb", "Nb", "Nb", "Nb", "Nb", "Nb", "Nb", "Nb", "Te", "Te", "Te", "Te", "Te", "Te", "Te", "Te", "Te", "Te", "Te", "Te", "Te", "Te", "Te", "Te", "Cl", "Cl", "Cl", "Cl", "O", "O", "O", "O", "O", "O", "O", "O", "O", "O", "O", "O", "O", "O", "O", "O", "O", "O", "O", "O", "O", "O", "O", "O", "O", "O", "O", "O", "O", "O", "O", "O", "O", "O", "O", "O", "O", "O", "O", "O", "O", "O", "O", "O", "O", "O", "O", "O", "O", "O", "O", "O", "O", "O", "O", "O", "O", "O", "O", "O"], "fractional_positions": [[0.513, 0.256, 0.491], [0.982, 0.753, 0.506], [0.240, 0.753, 0.990], [0.738, 0.748, 0.994], [0.877, 0.740, 0.252], [0.757, 0.247, 0.010], [0.370, 0.758, 0.247], [0.261, 0.251, 0.005], [0.631, 0.239, 0.753], [0.019, 0.248, 0.494], [0.125, 0.259, 0.747], [0.486, 0.748, 0.509], [0.232, 0.534, 0.626], [0.990, 0.036, 0.371], [0.103, 0.536, 0.871], [0.269, 0.498, 0.356], [0.109, 0.032, 0.125], [0.626, 0.003, 0.144], [0.897, 0.463, 0.129], [0.624, 0.502, 0.863], [0.515, 0.002, 0.362], [0.008, 0.966, 0.629], [0.373, 0.497, 0.138], [0.767, 0.467, 0.375], [0.892, 0.966, 0.876], [0.490, 0.000, 0.637], [0.727, 0.503, 0.643], [0.375, 0.995, 0.855], [0.541, 0.254, 0.249], [0.949, 0.747, 0.750], [0.045, 0.255, 0.250], [0.454, 0.753, 0.752], [0.759, 0.745, 0.502], [0.156, 0.100, 0.818], [0.598, 0.409, 0.076], [0.866, 0.889, 0.590], [0.862, 0.375, 0.570], [0.136, 0.627, 0.429], [0.737, 0.369, 0.929], [0.260, 0.881, 0.907], [0.788, 0.097, 0.681], [0.975, 0.916, 0.447], [0.421, 0.910, 0.574], [0.514, 0.392, 0.827], [0.075, 0.400, 0.819], [0.596, 0.584, 0.449], [0.129, 0.916, 0.051], [0.207, 0.899, 0.318], [0.870, 0.083, 0.950], [0.443, 0.381, 0.408], [0.575, 0.400, 0.683], [0.241, 0.755, 0.534], [0.843, 0.608, 0.327], [0.467, 0.868, 0.426], [0.312, 0.125, 0.928], [0.931, 0.597, 0.181], [0.692, 0.878, 0.069], [0.155, 0.388, 0.089], [0.244, 0.250, 0.498], [0.550, 0.620, 0.592], [0.846, 0.899, 0.181], [0.758, 0.251, 0.463], [0.770, 0.890, 0.327], [0.973, 0.409, 0.422], [0.027, 0.596, 0.580], [0.282, 0.891, 0.172], [0.260, 0.630, 0.071], [0.402, 0.418, 0.552], [0.698, 0.907, 0.922], [0.722, 0.107, 0.828], [0.484, 0.607, 0.174], [0.423, 0.601, 0.318], [0.880, 0.290, 0.747], [0.401, 0.591, 0.925], [0.155, 0.392, 0.672], [0.845, 0.612, 0.910], [0.123, 0.704, 0.252], [0.537, 0.133, 0.572], [0.736, 0.121, 0.094], [0.493, 0.248, 0.002], [0.299, 0.095, 0.079], [0.504, 0.754, 0.997], [0.019, 0.089, 0.553], [0.234, 0.108, 0.672], [0.026, 0.749, 0.964], [0.167, 0.413, 0.946], [0.134, 0.114, 0.409], [0.582, 0.794, 0.246], [0.832, 0.588, 0.054], [0.421, 0.204, 0.752], [0.972, 0.253, 0.035], [0.585, 0.090, 0.425]], "delta_e_f_mev_per_atom": -2159, "rho_g_cm3": 4.78}

***

{"formula": "MgSi2", "functional": "GGA-PBE", "state": "relaxed", "cell": [[-1.954, -2.815, -0.138], [3.058, 1.929, 9.548], [-5.330, 3.361, 0.877]], "species": ["Mg", "Mg", "Mg", "Mg", "Si", "Si", "Si", "Si", "Si", "Si", "Si", "Si"], "fractional_positions": [[0.251, 0.000, 0.042], [0.251, 0.500, 0.792], [0.251, 0.000, 0.542], [0.251, 0.500, 0.292], [0.945, 0.198, 0.291], [0.558, 0.802, 0.291], [0.945, 0.698, 0.542], [0.944, 0.197, 0.792], [0.558, 0.302, 0.542], [0.558, 0.803, 0.792], [0.944, 0.697, 0.041], [0.559, 0.303, 0.041]], "delta_e_f_mev_per_atom": 265, "rho_g_cm3": 2.58}

***

{"formula": "NbGaOs2", "functional": "GGA-PBE", "state": "relaxed", "cell": [[0.000, 3.131, 3.131], [3.131, 0.000, 3.131], [3.131, 3.131, 0.000]], "species": ["Nb", "Ga", "Os", "Os"], "fractional_positions": [[0.000, 0.000, 0.000], [0.500, 0.500, 0.500], [0.750, 0.750, 0.750], [0.250, 0.250, 0.250]], "delta_e_f_mev_per_atom": -204, "rho_g_cm3": 14.70}

***

{"formula": "Ca2Zn4As4O17", "functional": "GGA-PBE", "state": "relaxed", "cell": [[3.904, 9.910, 0.000], [-3.904, 9.910, 0.000], [0.000, 2.134, 9.728]], "species": ["Ca", "Ca", "Ca", "Ca", "Zn", "Zn", "Zn", "Zn", "Zn", "Zn", "Zn", "Zn", "As", "As", "As", "As", "As", "As", "As", "As", "O", "O", "O", "O", "O", "O", "O", "O", "O", "O", "O", "O", "O", "O", "O", "O", "O", "O", "O", "O", "O", "O", "O", "O", "O", "O", "O", "O", "O", "O", "O", "O", "O", "O"], "fractional_positions": [[0.159, 0.638, 0.406], [0.362, 0.841, 0.094], [0.841, 0.362, 0.594], [0.638, 0.159, 0.906], [0.998, 0.189, 0.298], [0.811, 0.002, 0.202], [0.002, 0.811, 0.702], [0.189, 0.998, 0.798], [0.786, 0.639, 0.012], [0.361, 0.214, 0.488], [0.214, 0.361, 0.988], [0.639, 0.786, 0.512], [0.002, 0.504, 0.296], [0.496, 0.998, 0.204], [0.998, 0.496, 0.704], [0.504, 0.002, 0.796], [0.833, 0.288, 0.017], [0.712, 0.167, 0.483], [0.167, 0.712, 0.983], [0.288, 0.833, 0.517], [0.211, 0.407, 0.331], [0.593, 0.789, 0.169], [0.789, 0.593, 0.669], [0.407, 0.211, 0.831], [0.027, 0.142, 0.108], [0.858, 0.973, 0.392], [0.973, 0.858, 0.892], [0.142, 0.027, 0.608], [0.990, 0.545, 0.120], [0.455, 0.010, 0.380], [0.010, 0.455, 0.880], [0.545, 0.990, 0.620], [0.695, 0.514, 0.038], [0.486, 0.305, 0.462], [0.305, 0.486, 0.962], [0.514, 0.695, 0.538], [0.846, 0.709, 0.370], [0.291, 0.154, 0.130], [0.154, 0.291, 0.630], [0.709, 0.846, 0.870], [0.082, 0.767, 0.155], [0.233, 0.918, 0.345], [0.918, 0.233, 0.845], [0.767, 0.082, 0.655], [0.958, 0.376, 0.368], [0.624, 0.042, 0.132], [0.042, 0.624, 0.632], [0.376, 0.958, 0.868], [0.778, 0.277, 0.430], [0.723, 0.222, 0.070], [0.222, 0.723, 0.570], [0.277, 0.778, 0.930], [0.334, 0.666, 0.250], [0.666, 0.334, 0.750]], "delta_e_f_mev_per_atom": -1961, "rho_g_cm3": 4.03}

***

{"formula": "RbLaNb2O7", "functional": "GGA-PBE", "state": "relaxed", "cell": [[-0.885, 8.348, 8.476], [-7.274, 3.752, 8.678], [5.904, -8.432, -6.029]], "species": ["Rb", "Rb", "La", "La", "Nb", "Nb", "Nb", "Nb", "O", "O", "O", "O", "O", "O", "O", "O", "O", "O", "O", "O", "O", "O"], "fractional_positions": [[0.500, 0.500, 0.000], [0.000, 0.000, 0.000], [0.765, 0.750, 0.015], [0.235, 0.250, 0.985], [0.152, 0.647, 0.505], [0.643, 0.147, 0.495], [0.848, 0.353, 0.495], [0.357, 0.853, 0.505], [0.574, 0.074, 0.000], [0.182, 0.750, 0.432], [0.482, 0.932, 0.550], [0.426, 0.926, 0.000], [0.118, 0.568, 0.550], [0.906, 0.906, 0.500], [0.818, 0.250, 0.568], [0.906, 0.406, 0.000], [0.882, 0.432, 0.450], [0.094, 0.594, 0.000], [0.574, 0.574, 0.500], [0.518, 0.068, 0.450], [0.094, 0.094, 0.500], [0.426, 0.426, 0.500]], "delta_e_f_mev_per_atom": -3205, "rho_g_cm3": 4.97}